No. 1
An optimized crystal structure of Pr2EuSe4. Source: the Materials Project database, functional PBE-GGA.

Cell: 7.8452 7.8452 7.8452 Å, 109.48 109.48 109.46°
With the nearest neighbours (Å) after each atom.
Fractional coordinates of all 14 atoms:
1 Pr 0.5014 0.1250 0.8764  8 Se 3.02-3.22
2 Pr 0.8750 0.7514 0.3764  8 Se 3.02-3.22
3 Pr 0.2486 0.6250 0.1236  8 Se 3.02-3.22
4 Pr 0.3750 0.4986 0.6236  8 Se 3.02-3.22
5 Eu 0.7500 0.2500 0.5000  8 Se 3.07-3.25
6 Eu 0.0000 0.0000 0.0000  8 Se 3.07-3.25
7 Se 0.9786 0.3803 0.2502  4 Pr 3.02-3.22, 2 Eu 3.07-3.25
8 Se 0.4784 0.3800 0.2498  4 Pr 3.02-3.22, 2 Eu 3.07-3.25
9 Se 0.7714 0.5216 0.9016  4 Pr 3.02-3.22, 2 Eu 3.07-3.25
10 Se 0.6197 0.8700 0.5984  4 Pr 3.02-3.22, 2 Eu 3.07-3.25
11 Se 0.1303 0.2286 0.7502  4 Pr 3.02-3.22, 2 Eu 3.07-3.25
12 Se 0.6200 0.8697 0.0984  4 Pr 3.02-3.22, 2 Eu 3.07-3.25
13 Se 0.2716 0.0214 0.4016  4 Pr 3.02-3.22, 2 Eu 3.07-3.25
14 Se 0.1300 0.7284 0.7498  4 Pr 3.02-3.22, 2 Eu 3.07-3.25

---

No. 2
An optimized crystal structure of NaCd4As3. Source: the Materials Project database, functional PBE-GGA.

Results
The calculation puts the total magnetization at 0.00 μB/f.u.

Cell: 4.5447 4.5447 11.6820 Å, 78.78 78.78 60.00°
With the nearest neighbours (Å) after each atom.
Fractional coordinates of all 8 atoms:
1 Na 0.5000 0.5000 0.5000  6 As 3.19
2 Cd 0.9045 0.9045 0.2864  3 As 2.70
3 Cd 0.0955 0.0955 0.7136  3 As 2.70
4 Cd 0.7008 0.7008 0.8975  4 As 2.71-2.87
5 Cd 0.2992 0.2992 0.1025  4 As 2.71-2.87
6 As 0.7802 0.7802 0.6594  4 Cd 2.70-2.71
7 As 0.2198 0.2198 0.3406  4 Cd 2.70-2.71
8 As 0.0000 0.0000 0.0000  6 Cd 2.87

---

No. 3
An optimized crystal structure of Ag8HgAs2O10. Source: the Materials Project database, functional PBE-GGA.

Results
The calculation puts the total magnetization at 0.00 μB/f.u.

Cell: 6.1092 6.1092 22.1631 Å, 90.00 90.00 120.00°
With the nearest neighbours (Å) after each atom.
Fractional coordinates of all 42 atoms:
1 Ag 0.6250 0.6511 0.8040  3 O 2.29-2.47
2 Ag 0.0261 0.3750 0.8040  3 O 2.29-2.47
3 Ag 0.9739 0.3489 0.3040  3 O 2.29-2.47
4 Ag 0.3489 0.9739 0.8040  3 O 2.29-2.47
5 Ag 0.6511 0.6250 0.3040  3 O 2.29-2.47
6 Ag 0.3750 0.0261 0.3040  3 O 2.29-2.47
7 Ag 0.6667 0.3333 0.9518  3 O 2.29
8 Ag 0.3333 0.6667 0.4518  3 O 2.29
9 Ag 0.6667 0.3333 0.2079  3 O 2.31
10 Ag 0.3333 0.6667 0.7079  3 O 2.31
11 Ag 0.6391 0.9593 0.5498  3 O 2.26-2.37
12 Ag 0.3202 0.3609 0.5498  3 O 2.26-2.37
13 Ag 0.6798 0.0407 0.0498  3 O 2.26-2.37
14 Ag 0.0407 0.6798 0.5498  3 O 2.26-2.37
15 Ag 0.9593 0.6391 0.0498  3 O 2.26-2.37
16 Ag 0.3609 0.3202 0.0498  3 O 2.26-2.37
17 Hg 0.6667 0.3333 0.6670  2 O 2.07-2.10
18 Hg 0.3333 0.6667 0.1670  2 O 2.07-2.10
19 As 0.0000 0.0000 0.9203  4 O 1.72-1.76
20 As 0.0000 0.0000 0.4203  4 O 1.72-1.76
21 As 0.0000 0.0000 0.6769  4 O 1.73-1.74
22 As 0.0000 0.0000 0.1769  4 O 1.73-1.74
23 O 0.6931 0.8515 0.6491  1 As 1.74
24 O 0.1584 0.3069 0.6491  1 As 1.74
25 O 0.8416 0.1485 0.1491  1 As 1.74
26 O 0.1485 0.8416 0.6491  1 As 1.74
27 O 0.8515 0.6931 0.1491  1 As 1.74
28 O 0.3069 0.1584 0.1491  1 As 1.74
29 O 0.6667 0.3333 0.5723  1 Hg 2.10, 3 Ag 2.26
30 O 0.3333 0.6667 0.0723  1 Hg 2.10, 3 Ag 2.26
31 O 0.0000 0.0000 0.7552  1 As 1.73
32 O 0.0000 0.0000 0.2552  1 As 1.73
33 O 0.0000 0.0000 0.9997  1 As 1.76
34 O 0.0000 0.0000 0.4997  1 As 1.76
35 O 0.8646 0.1711 0.8946  1 As 1.72
36 O 0.3064 0.1354 0.8946  1 As 1.72
37 O 0.6936 0.8289 0.3946  1 As 1.72
38 O 0.8289 0.6936 0.8946  1 As 1.72
39 O 0.1711 0.8646 0.3946  1 As 1.72
40 O 0.1354 0.3064 0.3946  1 As 1.72
41 O 0.6667 0.3333 0.7606  1 Hg 2.07, 3 Ag 2.29
42 O 0.3333 0.6667 0.2606  1 Hg 2.07, 3 Ag 2.29

---

Which calculated formation energy belongs to each record? In order, -2216.4, -209.4, -753.5 meV/atom.